Record 1
The following is a PBE calculation of a relaxed LiC6N4 crystal, from Materials Project.

DFT formation energy: 0.111 eV per atom

Cell lengths 5.6084, 5.4143, 12.2485 Å; angles 90.00, 104.74, 90.00 degrees
Space group P2/c (No. 13)
Unique sites:
1 Li 0.0000 0.1580 0.2500 (multiplicity 2)
2 C 0.3100 0.4526 0.1048 (multiplicity 4)
3 C 0.3797 0.2443 0.8958 (multiplicity 4)
4 C 0.4816 0.4472 0.5513 (multiplicity 4)
5 N 0.1698 0.3666 0.1503 (multiplicity 4)
6 N 0.2600 0.0770 0.8520 (multiplicity 4)

Record 2
The following is a PBE calculation of a relaxed Al2O3 crystal, from Materials Project.

DFT formation energy: -3.193 eV per atom

Cell lengths 9.9062, 10.3227, 11.1717 Å; angles 90.88, 94.77, 93.16 degrees
Space group P1 (No. 1)
Unique sites:
1 Al 0.0000 0.0000 0.0000 (multiplicity 1)
2 Al 0.0018 0.9494 0.7606 (multiplicity 1)
3 Al 0.0733 0.7282 0.5837 (multiplicity 1)
4 Al 0.1209 0.2518 0.0935 (multiplicity 1)
5 Al 0.1270 0.5331 0.1817 (multiplicity 1)
6 Al 0.1638 0.8748 0.4155 (multiplicity 1)
7 Al 0.1866 0.5100 0.7934 (multiplicity 1)
8 Al 0.2174 0.9851 0.1364 (multiplicity 1)
9 Al 0.2189 0.5567 0.4975 (multiplicity 1)
10 Al 0.2558 0.1242 0.3503 (multiplicity 1)
11 Al 0.2792 0.2846 0.6161 (multiplicity 1)
12 Al 0.3037 0.9514 0.9022 (multiplicity 1)
13 Al 0.3187 0.9719 0.6683 (multiplicity 1)
14 Al 0.3342 0.7100 0.0395 (multiplicity 1)
15 Al 0.3614 0.6608 0.3229 (multiplicity 1)
16 Al 0.3811 0.6837 0.7625 (multiplicity 1)
17 Al 0.3911 0.4018 0.3829 (multiplicity 1)
18 Al 0.4000 0.4279 0.0978 (multiplicity 1)
19 Al 0.4563 0.3803 0.8266 (multiplicity 1)
20 Al 0.4726 0.9202 0.2293 (multiplicity 1)
21 Al 0.4838 0.1629 0.0336 (multiplicity 1)
22 Al 0.5198 0.5320 0.6281 (multiplicity 1)
23 Al 0.5490 0.1391 0.6383 (multiplicity 1)
24 Al 0.5836 0.9623 0.8415 (multiplicity 1)
25 Al 0.6037 0.8196 0.6244 (multiplicity 1)
26 Al 0.6098 0.6969 0.0996 (multiplicity 1)
27 Al 0.6541 0.6773 0.3814 (multiplicity 1)
28 Al 0.6564 0.4131 0.2786 (multiplicity 1)
29 Al 0.6931 0.1178 0.3749 (multiplicity 1)
30 Al 0.7232 0.0263 0.1222 (multiplicity 1)
31 Al 0.7354 0.3938 0.7055 (multiplicity 1)
32 Al 0.7899 0.8008 0.9106 (multiplicity 1)
33 Al 0.7981 0.2723 0.1358 (multiplicity 1)
34 Al 0.8230 0.1874 0.7979 (multiplicity 1)
35 Al 0.8497 0.5889 0.1484 (multiplicity 1)
36 Al 0.8836 0.9013 0.5236 (multiplicity 1)
37 Al 0.9306 0.4662 0.4039 (multiplicity 1)
38 Al 0.9389 0.4365 0.9444 (multiplicity 1)
39 Al 0.9483 0.1947 0.5569 (multiplicity 1)
40 Al 0.9840 0.1331 0.3214 (multiplicity 1)
41 O 0.0274 0.4666 0.8229 (multiplicity 1)
42 O 0.0403 0.5558 0.5144 (multiplicity 1)
43 O 0.0434 0.9358 0.1433 (multiplicity 1)
44 O 0.1109 0.2558 0.5944 (multiplicity 1)
45 O 0.1144 0.0452 0.4102 (multiplicity 1)
46 O 0.1399 0.1950 0.2419 (multiplicity 1)
47 O 0.1632 0.1073 0.0186 (multiplicity 1)
48 O 0.1861 0.9814 0.7826 (multiplicity 1)
49 O 0.2103 0.8719 0.5752 (multiplicity 1)
50 O 0.2174 0.6268 0.6691 (multiplicity 1)
51 O 0.2185 0.4042 0.0990 (multiplicity 1)
52 O 0.2424 0.7127 0.4199 (multiplicity 1)
53 O 0.2437 0.4893 0.3391 (multiplicity 1)
54 O 0.2520 0.8647 0.0235 (multiplicity 1)
55 O 0.2603 0.6597 0.1756 (multiplicity 1)
56 O 0.2812 0.6309 0.8946 (multiplicity 1)
57 O 0.2848 0.3705 0.7671 (multiplicity 1)
58 O 0.2948 0.9527 0.2982 (multiplicity 1)
59 O 0.3486 0.2446 0.4316 (multiplicity 1)
60 O 0.3578 0.4486 0.5523 (multiplicity 1)
61 O 0.3651 0.1414 0.6531 (multiplicity 1)
62 O 0.4002 0.0725 0.1456 (multiplicity 1)
63 O 0.4067 0.8490 0.8144 (multiplicity 1)
64 O 0.4473 0.3228 0.9806 (multiplicity 1)
65 O 0.4521 0.0582 0.9085 (multiplicity 1)
66 O 0.4707 0.5816 0.0711 (multiplicity 1)
67 O 0.4734 0.6968 0.6210 (multiplicity 1)
68 O 0.4748 0.3778 0.2395 (multiplicity 1)
69 O 0.4895 0.5456 0.7899 (multiplicity 1)
70 O 0.4916 0.8209 0.0915 (multiplicity 1)
71 O 0.4994 0.7799 0.3224 (multiplicity 1)
72 O 0.5023 0.5588 0.3964 (multiplicity 1)
73 O 0.5029 0.9572 0.6367 (multiplicity 1)
74 O 0.5569 0.3208 0.7088 (multiplicity 1)
75 O 0.6070 0.1502 0.4961 (multiplicity 1)
76 O 0.6390 0.9970 0.2552 (multiplicity 1)
77 O 0.6615 0.1725 0.0566 (multiplicity 1)
78 O 0.6641 0.1010 0.7734 (multiplicity 1)
79 O 0.6796 0.8283 0.7789 (multiplicity 1)
80 O 0.6947 0.5293 0.6278 (multiplicity 1)
81 O 0.7109 0.2553 0.2830 (multiplicity 1)
82 O 0.7107 0.9326 0.9871 (multiplicity 1)
83 O 0.7136 0.8041 0.5032 (multiplicity 1)
84 O 0.7226 0.6839 0.2316 (multiplicity 1)
85 O 0.7420 0.4380 0.1407 (multiplicity 1)
86 O 0.7501 0.6744 0.0101 (multiplicity 1)
87 O 0.7548 0.5107 0.3909 (multiplicity 1)
88 O 0.7907 0.3544 0.8609 (multiplicity 1)
89 O 0.8341 0.2690 0.6537 (multiplicity 1)
90 O 0.8564 0.0574 0.4216 (multiplicity 1)
91 O 0.8762 0.1150 0.1781 (multiplicity 1)
92 O 0.9262 0.0360 0.6344 (multiplicity 1)
93 O 0.9422 0.0935 0.8714 (multiplicity 1)
94 O 0.9504 0.2909 0.4049 (multiplicity 1)
95 O 0.9555 0.3081 0.0565 (multiplicity 1)
96 O 0.9567 0.8039 0.6663 (multiplicity 1)
97 O 0.9582 0.8602 0.9002 (multiplicity 1)
98 O 0.9802 0.5368 0.2670 (multiplicity 1)
99 O 0.9890 0.5644 0.0539 (multiplicity 1)
100 O 0.9959 0.8084 0.4420 (multiplicity 1)

Record 3
The following is a PBE calculation of a relaxed MnSnPd2 crystal, from Materials Project.

DFT formation energy: -0.314 eV per atom

Cell lengths 3.3433, 3.3433, 6.0689 Å; angles 90.00, 90.00, 90.00 degrees
Space group P4/mmm (No. 123)
Unique sites:
1 Mn 0.0000 0.0000 0.0000 (multiplicity 1)
2 Sn 0.0000 0.0000 0.5000 (multiplicity 1)
3 Pd 0.5000 0.5000 0.2364 (multiplicity 2)

Record 4
The following is a PBE calculation of a relaxed SiO2 crystal, from Materials Project.

DFT formation energy: -3.250 eV per atom

Cell lengths 13.2333, 13.2333, 15.8063 Å; angles 90.00, 90.00, 120.00 degrees
Space group P6_3/m (No. 176)
Unique sites:
1 Si 0.1166 0.6661 0.0682 (multiplicity 12)
2 Si 0.1496 0.4763 0.5293 (multiplicity 12)
3 Si 0.2128 0.6850 0.2500 (multiplicity 6)
4 Si 0.3333 0.6667 0.6479 (multiplicity 4)
5 O 0.0195 0.3740 0.5536 (multiplicity 12)
6 O 0.1443 0.5632 0.0418 (multiplicity 12)
7 O 0.1460 0.6959 0.1676 (multiplicity 12)
8 O 0.1958 0.7814 0.0106 (multiplicity 12)
9 O 0.2102 0.5598 0.2500 (multiplicity 6)
10 O 0.2160 0.5508 0.6139 (multiplicity 12)
11 O 0.3333 0.6667 0.7500 (multiplicity 2)

Record 5
The following is a PBE calculation of a relaxed Na2ZnSi2O6 crystal, from Materials Project.

DFT formation energy: -2.690 eV per atom
offset from the most stable computed form: 0.0259 eV/atom

Cell lengths 5.2204, 5.2204, 11.4140 Å; angles 102.61, 102.61, 92.59 degrees
Space group P1 (No. 1)
Unique sites:
1 Na 0.0000 0.0000 0.0000 (multiplicity 1)
2 Na 0.0947 0.5941 0.1884 (multiplicity 1)
3 Na 0.3592 0.3748 0.6850 (multiplicity 1)
4 Na 0.7730 0.2749 0.4946 (multiplicity 1)
5 Zn 0.2024 0.1684 0.3396 (multiplicity 1)
6 Zn 0.9488 0.4062 0.8434 (multiplicity 1)
7 Si 0.3420 0.7546 0.5122 (multiplicity 1)
8 Si 0.5315 0.4354 0.0110 (multiplicity 1)
9 Si 0.6016 0.0266 0.1739 (multiplicity 1)
10 Si 0.9239 0.8412 0.6724 (multiplicity 1)
11 O 0.0001 0.7666 0.8048 (multiplicity 1)
12 O 0.1227 0.6936 0.5825 (multiplicity 1)
13 O 0.2038 0.4042 0.0017 (multiplicity 1)
14 O 0.3016 0.5511 0.3798 (multiplicity 1)
15 O 0.3090 0.0093 0.1871 (multiplicity 1)
16 O 0.3634 0.0615 0.4956 (multiplicity 1)
17 O 0.6032 0.3508 0.8766 (multiplicity 1)
18 O 0.6146 0.7011 0.5997 (multiplicity 1)
19 O 0.6629 0.7457 0.0886 (multiplicity 1)
20 O 0.6728 0.2420 0.1017 (multiplicity 1)
21 O 0.8109 0.0710 0.3039 (multiplicity 1)
22 O 0.9502 0.1553 0.6828 (multiplicity 1)

Record 6
The following is a PBE calculation of a relaxed Sr3CaIr2O9 crystal, from Materials Project.

DFT formation energy: -2.379 eV per atom

Cell lengths 14.1219, 5.7923, 9.9946 Å; angles 90.00, 90.04, 90.00 degrees
Space group P2_1/c (No. 14)
Unique sites:
1 Sr 0.0798 0.0333 0.1702 (multiplicity 4)
2 Sr 0.2530 0.5399 0.9955 (multiplicity 4)
3 Sr 0.4177 0.0325 0.8339 (multiplicity 4)
4 Ca 0.0000 0.0000 0.5000 (multiplicity 2)
5 Ca 0.5000 0.0000 0.5000 (multiplicity 2)
6 Ir 0.1720 0.5006 0.3318 (multiplicity 4)
7 Ir 0.3275 0.0047 0.1659 (multiplicity 4)
8 O 0.0702 0.1985 0.8966 (multiplicity 4)
9 O 0.0939 0.7311 0.8739 (multiplicity 4)
10 O 0.1168 0.0141 0.6545 (multiplicity 4)
11 O 0.2242 0.5134 0.5240 (multiplicity 4)
12 O 0.2497 0.2130 0.2891 (multiplicity 4)
13 O 0.2767 0.7149 0.2635 (multiplicity 4)
14 O 0.3822 0.2262 0.5803 (multiplicity 4)
15 O 0.4066 0.6937 0.5538 (multiplicity 4)
16 O 0.4280 0.0151 0.2999 (multiplicity 4)

Record 7
The following is a PBE calculation of a relaxed SrCr2As2 crystal, from Materials Project.

DFT formation energy: -0.448 eV per atom

Cell lengths 4.1043, 4.1043, 12.2615 Å; angles 90.00, 90.00, 90.00 degrees
Space group I4/mmm (No. 139)
Unique sites:
1 Sr 0.0000 0.0000 0.0000 (multiplicity 2)
2 Cr 0.0000 0.5000 0.2500 (multiplicity 4)
3 As 0.0000 0.0000 0.3584 (multiplicity 4)

Record 8
The following is a PBE calculation of a relaxed CsKICl crystal, from Materials Project.

DFT formation energy: -1.840 eV per atom

Cell lengths 4.9911, 4.9911, 7.5094 Å; angles 90.00, 90.00, 90.00 degrees
Space group P4/mmm (No. 123)
Unique sites:
1 Cs 0.0000 0.0000 0.0000 (multiplicity 1)
2 K 0.5000 0.5000 0.5000 (multiplicity 1)
3 I 0.0000 0.0000 0.5000 (multiplicity 1)
4 Cl 0.5000 0.5000 0.0000 (multiplicity 1)